## Sr3Al2O6 (PBE)

Data for a relaxed structure of Sr3Al2O6.

Properties
* E_form: -3.343 eV/atom
* magnetic moment: 0.00 Bohr magnetons per cell

a = 15.9999 Å, b = 15.9999 Å, c = 15.9999 Å
α = 90.00°, β = 90.00°, γ = 90.00°
Last column: nearest neighbours and their distance in Å.
Sites, in units of the cell vectors:
1 O 0.7631 0.1252 0.4972  2 Al 1.78
2 O 0.7656 0.9059 0.2204  1 Al 1.78
3 O 0.8706 0.7557 0.5076  2 Al 1.79
4 O 0.9972 0.7631 0.3748  2 Al 1.78
5 O 0.6540 0.9831 0.5176  1 Al 1.76
6 O 0.0941 0.7204 0.7344  1 Al 1.78
7 O 0.2557 0.9924 0.1294  2 Al 1.79
8 O 0.8748 0.5028 0.2369  2 Al 1.78
9 O 0.2344 0.0941 0.7796  1 Al 1.78
10 O 0.3460 0.0169 0.4824  1 Al 1.76
11 O 0.4739 0.9801 0.1534  1 Al 1.78
12 O 0.0076 0.8706 0.7443  2 Al 1.79
13 O 0.0199 0.6534 0.0261  1 Al 1.78
14 O 0.8460 0.4831 0.5176  1 Al 1.76
15 O 0.4059 0.2796 0.2344  1 Al 1.78
16 O 0.7369 0.6252 0.4972  2 Al 1.78
17 O 0.9831 0.5176 0.6540  1 Al 1.76
18 O 0.2796 0.2344 0.4059  1 Al 1.78
19 O 0.2443 0.0076 0.6294  2 Al 1.79
20 O 0.6534 0.4739 0.5199  1 Al 1.78
21 O 0.1540 0.9831 0.9824  1 Al 1.76
22 O 0.2796 0.2656 0.9059  1 Al 1.78
23 O 0.7557 0.5076 0.8706  2 Al 1.79
24 O 0.1003 0.2302 0.7771  1 Al 1.76
25 O 0.0176 0.6540 0.5169  1 Al 1.76
26 O 0.8706 0.7443 0.0076  2 Al 1.79
27 O 0.2656 0.9059 0.2796  1 Al 1.78
28 O 0.7229 0.8997 0.7302  1 Al 1.76
29 O 0.7796 0.2344 0.0941  1 Al 1.78
30 O 0.5941 0.7796 0.2656  1 Al 1.78
31 O 0.4059 0.2204 0.7344  1 Al 1.78
32 O 0.9924 0.1294 0.2557  2 Al 1.79
33 O 0.0261 0.4801 0.1534  1 Al 1.78
34 O 0.2344 0.4059 0.2796  1 Al 1.78
35 O 0.6003 0.2302 0.7229  1 Al 1.76
36 O 0.9924 0.3706 0.7557  2 Al 1.79
37 O 0.1252 0.4972 0.7631  2 Al 1.78
38 O 0.2443 0.4924 0.1294  2 Al 1.79
39 O 0.8466 0.9739 0.5199  1 Al 1.78
40 O 0.1534 0.0261 0.4801  1 Al 1.78
41 O 0.4824 0.1540 0.5169  1 Al 1.76
42 O 0.9801 0.3466 0.9739  1 Al 1.78
43 O 0.4972 0.7369 0.6252  2 Al 1.78
44 O 0.5176 0.6540 0.9831  1 Al 1.76
45 O 0.2557 0.5076 0.6294  2 Al 1.79
46 O 0.4924 0.3706 0.7443  2 Al 1.79
47 O 0.0169 0.0176 0.8460  1 Al 1.76
48 O 0.7369 0.8748 0.9972  2 Al 1.78
49 O 0.2631 0.1252 0.0028  2 Al 1.78
50 O 0.2656 0.5941 0.7796  1 Al 1.78
51 O 0.9059 0.2204 0.7656  1 Al 1.78
52 O 0.7302 0.7229 0.8997  1 Al 1.76
53 O 0.1540 0.5169 0.4824  1 Al 1.76
54 O 0.9972 0.7369 0.8748  2 Al 1.78
55 O 0.2771 0.3997 0.7698  1 Al 1.76
56 O 0.5261 0.4801 0.3466  1 Al 1.78
57 O 0.8997 0.7698 0.2229  1 Al 1.76
58 O 0.9801 0.1534 0.4739  1 Al 1.78
59 O 0.8748 0.9972 0.7369  2 Al 1.78
60 O 0.7229 0.6003 0.2302  1 Al 1.76
61 O 0.5261 0.0199 0.8466  1 Al 1.78
62 O 0.2229 0.6003 0.2698  1 Al 1.76
63 O 0.2631 0.3748 0.5028  2 Al 1.78
64 O 0.5176 0.8460 0.4831  1 Al 1.76
65 O 0.0941 0.7796 0.2344  1 Al 1.78
66 O 0.0028 0.2369 0.6252  2 Al 1.78
67 O 0.7443 0.0076 0.8706  2 Al 1.79
68 O 0.9739 0.9801 0.3466  1 Al 1.78
69 O 0.9824 0.3460 0.4831  1 Al 1.76
70 O 0.2369 0.6252 0.0028  2 Al 1.78
71 O 0.8997 0.7302 0.7229  1 Al 1.76
72 O 0.5028 0.2369 0.8748  2 Al 1.78
73 O 0.4924 0.1294 0.2443  2 Al 1.79
74 O 0.7344 0.4059 0.2204  1 Al 1.78
75 O 0.7204 0.7344 0.0941  1 Al 1.78
76 O 0.1534 0.4739 0.9801  1 Al 1.78
77 O 0.4972 0.7631 0.1252  2 Al 1.78
78 O 0.9059 0.2796 0.2656  1 Al 1.78
79 O 0.1294 0.2557 0.9924  2 Al 1.79
80 O 0.4801 0.1534 0.0261  1 Al 1.78
81 O 0.3706 0.7557 0.9924  2 Al 1.79
82 O 0.5941 0.7204 0.7656  1 Al 1.78
83 O 0.6252 0.0028 0.2369  2 Al 1.78
84 O 0.7631 0.3748 0.9972  2 Al 1.78
85 O 0.2369 0.8748 0.5028  2 Al 1.78
86 O 0.5199 0.8466 0.9739  1 Al 1.78
87 O 0.1294 0.2443 0.4924  2 Al 1.79
88 O 0.5199 0.6534 0.4739  1 Al 1.78
89 O 0.0261 0.0199 0.6534  1 Al 1.78
90 O 0.7557 0.9924 0.3706  2 Al 1.79
91 O 0.5076 0.8706 0.7557  2 Al 1.79
92 O 0.0028 0.2631 0.1252  2 Al 1.78
93 O 0.4824 0.3460 0.0169  1 Al 1.76
94 O 0.7443 0.4924 0.3706  2 Al 1.79
95 O 0.9739 0.5199 0.8466  1 Al 1.78
96 O 0.3466 0.5261 0.4801  1 Al 1.78
97 O 0.5169 0.4824 0.1540  1 Al 1.76
98 O 0.7344 0.0941 0.7204  1 Al 1.78
99 O 0.7302 0.7771 0.3997  1 Al 1.76
100 O 0.7771 0.1003 0.2302  1 Al 1.76
101 O 0.4831 0.5176 0.8460  1 Al 1.76
102 O 0.2698 0.2229 0.6003  1 Al 1.76
103 O 0.6294 0.2557 0.5076  2 Al 1.79
104 O 0.3466 0.9739 0.9801  1 Al 1.78
105 O 0.4801 0.3466 0.5261  1 Al 1.78
106 O 0.7204 0.7656 0.5941  1 Al 1.78
107 O 0.6534 0.0261 0.0199  1 Al 1.78
108 O 0.7698 0.2771 0.3997  1 Al 1.76
109 O 0.2302 0.7771 0.1003  1 Al 1.76
110 O 0.2229 0.8997 0.7698  1 Al 1.76
111 O 0.0199 0.8466 0.5261  1 Al 1.78
112 O 0.2302 0.7229 0.6003  1 Al 1.76
113 O 0.8466 0.5261 0.0199  1 Al 1.78
114 O 0.8460 0.0169 0.0176  1 Al 1.76
115 O 0.3706 0.7443 0.4924  2 Al 1.79
116 O 0.6252 0.4972 0.7369  2 Al 1.78
117 O 0.3748 0.9972 0.7631  2 Al 1.78
118 O 0.2771 0.1003 0.2698  1 Al 1.76
119 O 0.7656 0.5941 0.7204  1 Al 1.78
120 O 0.5076 0.6294 0.2557  2 Al 1.79
121 O 0.1252 0.0028 0.2631  2 Al 1.78
122 O 0.0176 0.8460 0.0169  1 Al 1.76
123 O 0.2204 0.7656 0.9059  1 Al 1.78
124 O 0.5169 0.0176 0.6540  1 Al 1.76
125 O 0.9831 0.9824 0.1540  1 Al 1.76
126 O 0.7796 0.2656 0.5941  1 Al 1.78
127 O 0.4831 0.9824 0.3460  1 Al 1.76
128 O 0.2204 0.7344 0.4059  1 Al 1.78
129 O 0.7771 0.3997 0.7302  1 Al 1.76
130 O 0.1003 0.2698 0.2771  1 Al 1.76
131 O 0.0076 0.6294 0.2443  2 Al 1.79
132 O 0.5028 0.2631 0.3748  2 Al 1.78
133 O 0.9824 0.1540 0.9831  1 Al 1.76
134 O 0.6294 0.2443 0.0076  2 Al 1.79
135 O 0.3997 0.7302 0.7771  1 Al 1.76
136 O 0.3748 0.5028 0.2631  2 Al 1.78
137 O 0.3460 0.4831 0.9824  1 Al 1.76
138 O 0.6540 0.5169 0.0176  1 Al 1.76
139 O 0.7698 0.2229 0.8997  1 Al 1.76
140 O 0.0169 0.4824 0.3460  1 Al 1.76
141 O 0.2698 0.2771 0.1003  1 Al 1.76
142 O 0.6003 0.2698 0.2229  1 Al 1.76
143 O 0.3997 0.7698 0.2771  1 Al 1.76
144 O 0.4739 0.5199 0.6534  1 Al 1.78
145 Al 0.4799 0.7484 0.5159  4 O 1.76-1.79
146 Al 0.9959 0.7386 0.2660  4 O 1.76-1.79
147 Al 0.2516 0.4841 0.5201  4 O 1.76-1.79
148 Al 0.7614 0.7340 0.4959  4 O 1.76-1.79
149 Al 0.2340 0.0041 0.2386  4 O 1.76-1.79
150 Al 0.7614 0.7660 0.9959  4 O 1.76-1.79
151 Al 0.0201 0.2484 0.5159  4 O 1.76-1.79
152 Al 0.5041 0.2386 0.2660  4 O 1.76-1.79
153 Al 0.5201 0.2484 0.9841  4 O 1.76-1.79
154 Al 0.4841 0.9799 0.7516  4 O 1.76-1.79
155 Al 0.5159 0.0201 0.2484  4 O 1.76-1.79
156 Al 0.7660 0.9959 0.7614  4 O 1.76-1.79
157 Al 0.2660 0.9959 0.7386  4 O 1.76-1.79
158 Al 0.0159 0.4799 0.7516  4 O 1.76-1.79
159 Al 0.4799 0.7516 0.0159  4 O 1.76-1.79
160 Al 0.4959 0.7386 0.2340  4 O 1.76-1.79
161 Al 0.2516 0.0159 0.0201  4 O 1.76-1.79
162 Al 0.4959 0.7614 0.7340  4 O 1.76-1.79
163 Al 0.2484 0.9841 0.5201  4 O 1.76-1.79
164 Al 0.7386 0.2660 0.9959  4 O 1.76-1.79
165 Al 0.2614 0.7660 0.5041  4 O 1.76-1.79
166 Al 0.9841 0.5201 0.2484  4 O 1.76-1.79
167 Al 0.4841 0.5201 0.2516  4 O 1.76-1.79
168 Al 0.2660 0.5041 0.2386  4 O 1.76-1.79
169 Al 0.9841 0.9799 0.7484  4 O 1.76-1.79
170 Al 0.9799 0.7516 0.4841  4 O 1.76-1.79
171 Al 0.7484 0.9841 0.9799  4 O 1.76-1.79
172 Al 0.0041 0.2614 0.7340  4 O 1.76-1.79
173 Al 0.7660 0.5041 0.2614  4 O 1.76-1.79
174 Al 0.2340 0.4959 0.7386  4 O 1.76-1.79
175 Al 0.7516 0.4841 0.9799  4 O 1.76-1.79
176 Al 0.7516 0.0159 0.4799  4 O 1.76-1.79
177 Al 0.5041 0.2614 0.7660  4 O 1.76-1.79
178 Al 0.7340 0.0041 0.2614  4 O 1.76-1.79
179 Al 0.7484 0.5159 0.4799  4 O 1.76-1.79
180 Al 0.2614 0.7340 0.0041  4 O 1.76-1.79
181 Al 0.5201 0.2516 0.4841  4 O 1.76-1.79
182 Al 0.5159 0.4799 0.7484  4 O 1.76-1.79
183 Al 0.0201 0.2516 0.0159  4 O 1.76-1.79
184 Al 0.9959 0.7614 0.7660  4 O 1.76-1.79
185 Al 0.0159 0.0201 0.2516  4 O 1.76-1.79
186 Al 0.2386 0.2340 0.0041  4 O 1.76-1.79
187 Al 0.7386 0.2340 0.4959  4 O 1.76-1.79
188 Al 0.2484 0.5159 0.0201  4 O 1.76-1.79
189 Al 0.9799 0.7484 0.9841  4 O 1.76-1.79
190 Al 0.0041 0.2386 0.2340  4 O 1.76-1.79
191 Al 0.2386 0.2660 0.5041  4 O 1.76-1.79
192 Al 0.7340 0.4959 0.7614  4 O 1.76-1.79
193 Sr 0.6199 0.6160 0.8753  4 O 2.45-2.74
194 Sr 0.6246 0.6317 0.3653  3 O 2.44-2.72
195 Sr 0.6317 0.3653 0.6246  3 O 2.44-2.72
196 Sr 0.6244 0.8756 0.1244  9 O 2.72-2.97
197 Sr 0.3683 0.8653 0.8754  3 O 2.44-2.72
198 Sr 0.8840 0.3753 0.6199  4 O 2.45-2.74
199 Sr 0.6160 0.8753 0.6199  4 O 2.45-2.74
200 Sr 0.2523 0.2523 0.2523  6 O 2.48-2.51
201 Sr 0.6247 0.1199 0.6160  4 O 2.45-2.74
202 Sr 0.6247 0.3801 0.1160  4 O 2.45-2.74
203 Sr 0.3840 0.3753 0.8801  4 O 2.45-2.74
204 Sr 0.8753 0.6199 0.6160  4 O 2.45-2.74
205 Sr 0.2477 0.7523 0.2523  6 O 2.48-2.51
206 Sr 0.8801 0.1160 0.8753  4 O 2.45-2.74
207 Sr 0.7523 0.2477 0.7477  6 O 2.48-2.51
208 Sr 0.1247 0.1199 0.8840  4 O 2.45-2.74
209 Sr 0.8683 0.6347 0.1246  3 O 2.44-2.72
210 Sr 0.8801 0.3840 0.3753  4 O 2.45-2.74
211 Sr 0.3840 0.1247 0.3801  4 O 2.45-2.74
212 Sr 0.6317 0.1347 0.1246  3 O 2.44-2.72
213 Sr 0.3753 0.6199 0.8840  4 O 2.45-2.74
214 Sr 0.8754 0.3683 0.8653  3 O 2.44-2.72
215 Sr 0.6246 0.8683 0.8653  3 O 2.44-2.72
216 Sr 0.8756 0.1244 0.6244  9 O 2.72-2.97
217 Sr 0.7523 0.2523 0.2477  6 O 2.48-2.51
218 Sr 0.3653 0.6246 0.6317  3 O 2.44-2.72
219 Sr 0.3756 0.1244 0.8756  9 O 2.72-2.97
220 Sr 0.7477 0.7477 0.7477  6 O 2.48-2.51
221 Sr 0.6347 0.1246 0.8683  3 O 2.44-2.72
222 Sr 0.1199 0.6160 0.6247  4 O 2.45-2.74
223 Sr 0.0000 0.0000 0.5000  6 O 2.51
224 Sr 0.3653 0.8754 0.1317  3 O 2.44-2.72
225 Sr 0.1347 0.3754 0.1317  3 O 2.44-2.72
226 Sr 0.1247 0.3801 0.3840  4 O 2.45-2.74
227 Sr 0.0000 0.5000 0.5000  6 O 2.49
228 Sr 0.3683 0.6347 0.3754  3 O 2.44-2.72
229 Sr 0.8653 0.8754 0.3683  3 O 2.44-2.72
230 Sr 0.7477 0.7523 0.2477  6 O 2.48-2.51
231 Sr 0.1160 0.6247 0.3801  4 O 2.45-2.74
232 Sr 0.1317 0.3653 0.8754  3 O 2.44-2.72
233 Sr 0.3801 0.3840 0.1247  4 O 2.45-2.74
234 Sr 0.8754 0.1317 0.3653  3 O 2.44-2.72
235 Sr 0.1199 0.8840 0.1247  4 O 2.45-2.74
236 Sr 0.3753 0.8801 0.3840  4 O 2.45-2.74
237 Sr 0.3801 0.1160 0.6247  4 O 2.45-2.74
238 Sr 0.1347 0.1246 0.6317  3 O 2.44-2.72
239 Sr 0.6160 0.6247 0.1199  4 O 2.45-2.74
240 Sr 0.1160 0.8753 0.8801  4 O 2.45-2.74
241 Sr 0.1317 0.1347 0.3754  3 O 2.44-2.72
242 Sr 0.1244 0.6244 0.8756  9 O 2.72-2.97
243 Sr 0.5000 0.0000 0.0000  6 O 2.51
244 Sr 0.3756 0.3756 0.3756  9 O 2.72-2.97
245 Sr 0.0000 0.5000 0.0000  6 O 2.51
246 Sr 0.8840 0.1247 0.1199  4 O 2.45-2.74
247 Sr 0.5000 0.5000 0.5000  6 O 2.51
248 Sr 0.0000 0.0000 0.0000  6 O 2.49
249 Sr 0.6199 0.8840 0.3753  4 O 2.45-2.74
250 Sr 0.2523 0.2477 0.7523  6 O 2.48-2.51
251 Sr 0.5000 0.5000 0.0000  6 O 2.49
252 Sr 0.1246 0.8683 0.6347  3 O 2.44-2.72
253 Sr 0.5000 0.0000 0.5000  6 O 2.49
254 Sr 0.6244 0.6244 0.6244  9 O 2.72-2.97
255 Sr 0.3754 0.1317 0.1347  3 O 2.44-2.72
256 Sr 0.1244 0.8756 0.3756  9 O 2.72-2.97
257 Sr 0.2477 0.7477 0.7523  6 O 2.48-2.51
258 Sr 0.3754 0.3683 0.6347  3 O 2.44-2.72
259 Sr 0.1246 0.6317 0.1347  3 O 2.44-2.72
260 Sr 0.6347 0.3754 0.3683  3 O 2.44-2.72
261 Sr 0.8683 0.8653 0.6246  3 O 2.44-2.72
262 Sr 0.8653 0.6246 0.8683  3 O 2.44-2.72
263 Sr 0.8753 0.8801 0.1160  4 O 2.45-2.74
264 Sr 0.8756 0.3756 0.1244  9 O 2.72-2.97